[1]
Computed, not measured: a relaxed UAl7Fe5 crystal at the r2SCAN level of DFT.

Lattice parameters (Å, degrees): 4.9780 8.7022 8.6979 90.00 90.00 90.00
With the nearest neighbours (Å) after each atom.
Space group Imm2 (No. 44)
Asymmetric unit:
U (0.0000, 0.0000, 0.0000) (multiplicity 2)  10 Al 2.95-3.20, 6 Fe 3.15-3.26
Al (0.0000, 0.0000, 0.3391) (multiplicity 2)  6 Fe 2.63-2.69, 3 Al 2.72-2.85, 1 U 2.95
Al (0.0000, 0.0000, 0.6518) (multiplicity 2)  4 Fe 2.64, 5 Al 2.69-2.84
Al (0.0000, 0.2871, 0.4957) (multiplicity 4)  5 Fe 2.50-2.71, 3 Al 2.71-2.75
Al (0.0000, 0.3457, 0.9865) (multiplicity 4)  5 Fe 2.60-2.68, 4 Al 2.69-2.79
Al (0.0000, 0.5000, 0.2682) (multiplicity 2)  4 Fe 2.52, 6 Al 2.69-2.79
Fe (0.0000, 0.5000, 0.7224) (multiplicity 2)  4 Fe 2.51, 6 Al 2.66-2.71
Fe (0.2488, 0.2487, 0.2417) (multiplicity 8)  3 Fe 2.48-2.51, 7 Al 2.50-2.68

=====

[2]
Computed, not measured: a relaxed BiPtSe crystal at the r2SCAN level of DFT.

Lattice parameters (Å, degrees): 6.5053 6.5053 6.5053 90.00 90.00 90.00
With the nearest neighbours (Å) after each atom.
Space group P2_13 (No. 198)
Asymmetric unit:
Bi (0.1279, 0.3721, 0.6279) (multiplicity 4)  3 Pt 2.75, 1 Se 2.80
Pt (0.0101, 0.9899, 0.4899) (multiplicity 4)  3 Se 2.65, 3 Bi 2.75
Se (0.1208, 0.1208, 0.1208) (multiplicity 4)  3 Pt 2.65, 1 Bi 2.80

=====

[3]
Computed, not measured: a relaxed NdAl crystal at the r2SCAN level of DFT.

Lattice parameters (Å, degrees): 3.7264 3.7264 3.7264 90.00 90.00 90.00
With the nearest neighbours (Å) after each atom.
Space group Pm-3m (No. 221)
Asymmetric unit:
Nd (0.0000, 0.0000, 0.0000) (multiplicity 1)  8 Al 3.23
Al (0.5000, 0.5000, 0.5000) (multiplicity 1)  8 Nd 3.23

=====

no.,ΔE_f (eV per atom)
1,-0.291
2,-0.401
3,-0.389